12
Lattice="-1.712 4.254 -0.311 -4.856 -1.555 5.459 5.284 2.523 5.419" Properties=species:S:1:pos:R:3 comment="PrSbIr r²SCAN optimized geometry" m_tot_mub_per_atom=0.00 spacegroup="Pnma (62)" e_form_ev_per_atom=-0.969 pbc="T T T"
Ir 1.240 2.089 4.762
Ir 0.492 2.113 9.213
Ir -1.775 3.109 1.354
Ir -2.524 3.133 5.805
Sb 3.547 3.095 5.831
Sb -4.830 2.127 4.736
Sb -0.609 1.493 6.788
Sb -0.674 3.729 3.779
Pr 1.125 1.817 1.679
Pr 0.636 4.477 6.790
Pr -1.919 0.745 3.777
Pr -2.408 3.405 8.888


42
Lattice="-4.983 -3.379 -0.277 -0.005 -3.253 -5.253 4.207 -9.092 2.637" Properties=species:S:1:pos:R:3 comment="MgH10SO9 r²SCAN optimized geometry" m_tot_mub_per_atom=0.00 spacegroup="P-1 (2)" e_form_ev_per_atom=-1.375 pbc="T T T"
O -0.842 -7.164 -4.327
O -1.668 -6.045 0.166
O 0.887 -9.680 -3.059
O -0.923 -9.277 -1.062
O -0.484 -1.802 -0.832
O 1.552 -4.587 -0.182
O -2.984 -4.050 -0.162
O 0.061 -8.561 1.435
O 2.203 -11.675 -2.730
O -2.332 -11.137 -2.710
O -0.297 -13.923 -2.061
O -2.736 -5.240 -2.688
O 1.922 -7.553 0.300
O -0.347 -11.748 0.490
O -2.703 -8.172 -3.192
O 0.142 -6.447 -1.830
O 1.955 -10.485 -0.204
O -0.434 -3.976 -3.383
H 2.037 -8.461 -2.741
H 0.292 -4.425 -2.920
H -3.010 -4.883 -1.819
H -0.722 -2.551 -0.253
H 2.009 -9.515 -0.276
H 2.229 -10.842 -1.073
H -2.790 -6.209 -2.617
H -0.208 -9.392 -1.724
H -0.059 -13.174 -2.640
H -1.471 -11.278 -3.154
H 0.474 -11.250 0.268
H 0.691 -4.447 0.261
H -1.089 -1.804 -1.607
H -0.245 -6.789 -2.662
H -1.073 -11.300 0.028
H -2.818 -7.263 -0.151
H -0.573 -6.333 -1.168
H -0.536 -8.936 -0.231
H 0.308 -13.921 -1.286
H -1.255 -4.475 -3.160
Mg 2.101 -6.173 -1.308
Mg 0.000 0.000 0.000
S 1.271 -7.724 1.619
S -2.052 -8.001 -4.511


9
Lattice="5.755 0.000 0.000 -2.877 4.984 0.000 0.000 0.000 4.554" Properties=species:S:1:pos:R:3 comment="K2IrF6 r²SCAN optimized geometry" m_tot_mub_per_atom=0.11 spacegroup="P-3m1 (164)" e_form_ev_per_atom=-2.380 pbc="T T T"
F 1.454 4.162 1.062
F 0.000 1.644 1.062
F 1.423 0.822 3.493
F -1.454 4.162 1.062
F 2.877 3.340 3.493
F 4.331 0.822 3.493
Ir 0.000 0.000 0.000
K 2.877 1.661 1.306
K 0.000 3.322 3.248


5
Lattice="-2.287 2.287 5.843 2.287 -2.287 5.843 2.287 2.287 -5.843" Properties=species:S:1:pos:R:3 comment="BaIn2Pt2 r²SCAN optimized geometry" m_tot_mub_per_atom=0.00 spacegroup="I4/mmm (139)" e_form_ev_per_atom=-0.765 pbc="T T T"
Pt 0.000 0.000 4.483
Pt 0.000 0.000 7.204
Ba 0.000 0.000 0.000
In 0.000 2.287 2.922
In 2.287 0.000 2.922